No. 1
## LiMnSiO4 (PBE+U)

Data for LiMnSiO4 after structural relaxation.

```
LiMnSiO4
1.0
-5.517 -0.366 -0.550
0.963 -5.217 -6.194
-0.252 -14.605 12.263
Mn Li Si O
12 12 12 48
direct
0.010 0.251 0.333
0.485 0.748 0.501
0.022 0.252 0.667
0.010 0.249 0.833
0.022 0.248 0.167
0.522 0.752 0.833
0.985 0.252 0.499
0.510 0.749 0.667
0.485 0.752 0.001
0.510 0.751 0.167
0.985 0.248 0.999
0.522 0.748 0.333
0.537 0.063 0.417
0.483 0.427 0.584
0.983 0.927 0.916
0.498 0.430 0.250
0.537 0.437 0.917
0.483 0.073 0.084
0.983 0.573 0.416
0.498 0.070 0.750
0.037 0.937 0.583
0.037 0.563 0.083
0.998 0.570 0.750
0.998 0.930 0.250
0.022 0.596 0.250
0.011 0.905 0.417
0.522 0.404 0.750
0.511 0.405 0.083
0.485 0.097 0.917
0.522 0.096 0.250
0.511 0.095 0.583
0.485 0.403 0.417
0.011 0.595 0.917
0.022 0.904 0.750
0.985 0.597 0.583
0.985 0.903 0.083
0.509 0.984 0.180
0.497 0.981 0.513
0.981 0.484 0.512
0.507 0.983 0.847
0.520 0.518 0.154
0.796 0.726 0.249
0.774 0.214 0.250
0.711 0.227 0.917
0.249 0.780 0.420
0.232 0.212 0.917
0.773 0.780 0.413
0.481 0.516 0.488
0.997 0.019 0.487
0.007 0.017 0.153
0.274 0.786 0.750
0.796 0.774 0.749
0.507 0.517 0.347
0.023 0.481 0.180
0.009 0.016 0.820
0.509 0.516 0.680
0.296 0.226 0.251
0.523 0.519 0.820
0.007 0.483 0.653
0.273 0.220 0.587
0.023 0.019 0.680
0.020 0.018 0.346
0.009 0.484 0.320
0.732 0.712 0.583
0.732 0.788 0.083
0.523 0.981 0.320
0.249 0.720 0.920
0.020 0.482 0.846
0.481 0.984 0.988
0.520 0.982 0.654
0.211 0.773 0.083
0.997 0.481 0.987
0.749 0.220 0.580
0.273 0.280 0.087
0.711 0.273 0.417
0.232 0.288 0.417
0.274 0.714 0.250
0.296 0.274 0.751
0.211 0.727 0.583
0.497 0.519 0.013
0.773 0.720 0.913
0.774 0.286 0.750
0.749 0.280 0.080
0.981 0.016 0.012
```

space-group type	Pna2_1
volume	10.29	Å³ per atom
energy of formation	-2611	meV/atom
ΔE to the lowest computed polymorph	27.8	meV/atom
total energy	-601.8	eV per cell
magnetic moment	4.00	μB per formula unit

No. 2
## CoH40C10Br2N20O10 (PBE+U)

Data for CoH40C10Br2N20O10 after structural relaxation.

```
CoH40C10Br2N20O10
1.0
0.000 -7.271 0.000
-9.799 0.000 1.064
0.122 0.000 -23.911
H N O C Co Br
80 40 20 20 2 4
direct
0.364 0.438 0.073
0.682 0.495 0.682
0.692 0.267 0.853
0.818 0.495 0.182
0.106 0.869 0.761
0.394 0.869 0.261
0.837 0.714 0.251
0.318 0.505 0.318
0.931 0.636 0.059
0.431 0.364 0.441
0.864 0.562 0.427
0.192 0.733 0.647
0.915 0.907 0.627
0.101 0.153 0.106
0.308 0.733 0.147
0.718 0.867 0.066
0.014 0.287 0.241
0.452 0.131 0.256
0.899 0.847 0.894
0.418 0.498 0.827
0.516 0.432 0.382
0.399 0.153 0.606
0.174 0.736 0.368
0.163 0.286 0.749
0.486 0.287 0.741
0.241 0.773 0.502
0.436 0.861 0.834
0.606 0.131 0.739
0.344 0.391 0.000
0.936 0.139 0.666
0.337 0.286 0.249
0.918 0.502 0.673
0.297 0.308 0.634
0.844 0.609 0.500
0.126 0.685 0.551
0.514 0.713 0.259
0.569 0.636 0.559
0.636 0.562 0.927
0.282 0.133 0.934
0.984 0.432 0.882
0.484 0.568 0.618
0.564 0.139 0.166
0.259 0.773 0.002
0.826 0.264 0.632
0.952 0.869 0.244
0.326 0.736 0.868
0.415 0.093 0.873
0.016 0.568 0.118
0.894 0.131 0.239
0.156 0.391 0.500
0.298 0.888 0.669
0.601 0.847 0.394
0.048 0.131 0.756
0.702 0.112 0.331
0.703 0.692 0.366
0.582 0.502 0.173
0.874 0.315 0.449
0.218 0.133 0.434
0.203 0.308 0.134
0.374 0.685 0.051
0.626 0.315 0.949
0.674 0.264 0.132
0.759 0.227 0.498
0.548 0.869 0.744
0.064 0.861 0.334
0.182 0.505 0.818
0.085 0.093 0.373
0.986 0.713 0.759
0.082 0.498 0.327
0.202 0.888 0.169
0.663 0.714 0.751
0.798 0.112 0.831
0.656 0.609 0.000
0.741 0.227 0.998
0.136 0.438 0.573
0.585 0.907 0.127
0.808 0.267 0.353
0.797 0.692 0.866
0.069 0.364 0.941
0.782 0.867 0.566
0.711 0.495 0.155
0.140 0.836 0.366
0.407 0.415 0.407
0.310 0.375 0.040
0.829 0.761 0.899
0.334 0.183 0.249
0.484 0.183 0.740
0.731 0.253 0.958
0.824 0.936 0.598
0.789 0.495 0.655
0.593 0.585 0.593
0.676 0.936 0.098
0.360 0.836 0.866
0.289 0.505 0.845
0.016 0.183 0.240
0.171 0.239 0.101
0.757 0.177 0.363
0.907 0.585 0.093
0.671 0.761 0.399
0.984 0.817 0.760
0.743 0.177 0.863
0.243 0.823 0.637
0.690 0.625 0.960
0.176 0.064 0.402
0.257 0.823 0.137
0.834 0.817 0.251
0.190 0.375 0.540
0.231 0.747 0.542
0.810 0.625 0.460
0.211 0.505 0.345
0.269 0.747 0.042
0.769 0.253 0.458
0.166 0.183 0.749
0.666 0.817 0.751
0.324 0.064 0.902
0.329 0.239 0.601
0.516 0.817 0.260
0.093 0.415 0.907
0.860 0.164 0.634
0.640 0.164 0.134
0.095 0.412 0.422
0.196 0.892 0.946
0.905 0.588 0.578
0.156 0.184 0.005
0.830 0.016 0.754
0.670 0.016 0.254
0.696 0.108 0.554
0.884 0.055 0.926
0.595 0.588 0.078
0.405 0.412 0.922
0.330 0.984 0.746
0.616 0.055 0.426
0.384 0.945 0.574
0.304 0.892 0.446
0.804 0.108 0.054
0.844 0.816 0.995
0.344 0.184 0.505
0.170 0.984 0.246
0.656 0.816 0.495
0.116 0.945 0.074
0.209 0.931 0.406
0.827 0.887 0.755
0.789 0.158 0.916
0.673 0.887 0.255
0.709 0.069 0.094
0.733 0.559 0.107
0.791 0.069 0.594
0.290 0.263 0.548
0.711 0.158 0.416
0.233 0.441 0.393
0.173 0.113 0.245
0.327 0.113 0.745
0.767 0.559 0.607
0.291 0.931 0.906
0.267 0.441 0.893
0.210 0.263 0.048
0.710 0.737 0.452
0.289 0.842 0.584
0.790 0.737 0.952
0.211 0.842 0.084
0.500 0.000 0.500
0.000 0.000 0.000
0.729 0.486 0.300
0.229 0.514 0.200
0.271 0.514 0.700
0.771 0.486 0.800
```

space-group type	P2_1/c
volume	10.26	Å³ per atom
energy of formation	-617	meV/atom
total energy	-994.6	eV per cell
magnetic moment	3.00	μB per formula unit

No. 3
## Li2MnNi3O8 (PBE+U)

Data for Li2MnNi3O8 after structural relaxation.

```
Li2MnNi3O8
1.0
4.983 -2.900 0.000
4.983 2.900 0.000
3.296 0.000 4.731
Mn O Ni Li
1 8 3 2
direct
0.500 0.500 0.500
0.287 0.735 0.735
0.713 0.265 0.265
0.736 0.736 0.736
0.264 0.264 0.264
0.265 0.713 0.265
0.735 0.287 0.735
0.735 0.735 0.287
0.265 0.265 0.713
0.000 0.500 0.500
0.500 0.000 0.500
0.500 0.500 0.000
0.126 0.126 0.126
0.874 0.874 0.874
```

space-group type	R-3m
volume	9.77	Å³ per atom
energy of formation	-1440	meV/atom
ΔE to the lowest computed polymorph	8.0	meV/atom
total energy	-75.3	eV per cell
magnetic moment	5.00	μB per formula unit

> Among the records above, which one has the lowest total energy?

CoH40C10Br2N20O10

> Among the records above, which one has the lowest total energy?

CoH40C10Br2N20O10

> total energy of number 3 (Li2MnNi3O8)?

-75.3 eV per cell